Entry 1:
# CeSe2

CeSe2 after structural relaxation (PBE-GGA, the Materials Project).

Its crystal system is orthorhombic. Its space group is Pnnm, No. 58. The total energy comes out at -5.790 eV per atom. As for the energy with MP2020 corrections: -36.6 eV/cell. The energy of formation is -41.4 kcal/mol of atoms.

Unit cell a=6.4697 b=6.6488 c=4.3955 alpha=90.00 beta=90.00 gamma=90.00
Closest atoms and distances in Å follow each position.
Positions (direct):
1 Ce 0.0000 0.0000 0.0000  6 Se 2.86-2.90
2 Ce 0.5000 0.5000 0.5000  6 Se 2.86-2.90
3 Se 0.2418 0.1433 0.5000  3 Ce 2.86-2.90
4 Se 0.2582 0.6433 0.0000  3 Ce 2.86-2.90
5 Se 0.7418 0.3567 0.0000  3 Ce 2.86-2.90
6 Se 0.7582 0.8567 0.5000  3 Ce 2.86-2.90



Entry 2:
# TeI2

TeI2 after structural relaxation (PBE-GGA, the Materials Project).

Its crystal system is tetragonal. Its space group is P4_2/mnm, No. 136. The total energy comes out at -2.099 eV per atom. As for the energy with MP2020 corrections: -14.1 eV/cell. The energy of formation is -6.6 kcal/mol of atoms.

Unit cell a=8.8623 b=8.8623 c=4.1763 alpha=90.00 beta=90.00 gamma=90.00
Closest atoms and distances in Å follow each position.
Positions (direct):
1 Te 0.0000 0.0000 0.0000  4 I 3.00
2 Te 0.5000 0.5000 0.5000  4 I 3.00
3 I 0.1723 0.1723 0.5000  2 Te 3.00
4 I 0.3277 0.6723 0.0000  2 Te 3.00
5 I 0.6723 0.3277 0.0000  2 Te 3.00
6 I 0.8277 0.8277 0.5000  2 Te 3.00



Entry 3:
# Mg6SiW

Mg6SiW after structural relaxation (PBE-GGA, the Materials Project).

The total energy comes out at -3.220 eV per atom. Its distance to the lowest polymorph of the same formula is 36.9 meV/atom. The energy of formation is 6.4 kcal/mol of atoms.

Unit cell a=5.0543 b=5.6184 c=10.6958 alpha=90.00 beta=90.00 gamma=90.00
Closest atoms and distances in Å follow each position.
Positions (direct):
1 Mg 0.0000 0.2422 0.5813  6 Mg 2.72-3.04, 2 W 3.04
2 Mg 0.0000 0.5000 0.8238  10 Mg 2.81-3.08, 2 Si 3.01
3 W 0.5000 0.5000 0.1753  2 Si 2.81, 10 Mg 2.97-3.04
4 W 0.5000 0.0000 0.6753  2 Si 2.81, 10 Mg 2.97-3.04
5 Mg 0.0000 0.0000 0.3238  10 Mg 2.81-3.08, 2 Si 3.01
6 Mg 0.5000 0.2507 0.4231  8 Mg 2.80-3.09, 2 Si 2.99-3.05, 2 W 3.00-3.04
7 Mg 0.0000 0.7422 0.0813  6 Mg 2.72-3.04, 2 W 3.04
8 Mg 0.0000 0.7578 0.5813  6 Mg 2.72-3.04, 2 W 3.04
9 Mg 0.5000 0.7493 0.4231  8 Mg 2.80-3.09, 2 Si 2.99-3.05, 2 W 3.00-3.04
10 Mg 0.0000 0.5000 0.3217  10 Mg 2.81-3.13, 2 W 2.97
11 Si 0.5000 0.5000 0.6703  2 W 2.81, 10 Mg 2.99-3.06
12 Si 0.5000 0.0000 0.1703  2 W 2.81, 10 Mg 2.99-3.06
13 Mg 0.5000 0.7507 0.9231  8 Mg 2.80-3.09, 2 Si 2.99-3.05, 2 W 3.00-3.04
14 Mg 0.5000 0.2493 0.9231  8 Mg 2.80-3.09, 2 Si 2.99-3.05, 2 W 3.00-3.04
15 Mg 0.0000 0.2578 0.0813  6 Mg 2.72-3.04, 2 W 3.04
16 Mg 0.0000 0.0000 0.8217  10 Mg 2.81-3.13, 2 W 2.97



- Which of these has the lowest energy of formation?
  CeSe2



- Number 2 is which compound?
  TeI2



- Which value of energy of formation does entry 1 give?
  -41.4 kcal/mol of atoms